! Dy2Nb2O7 (PBE, relaxed); values from VASP
! space group = Fd-3m
&SYSTEM
  ibrav = 0, nat = 22, ntyp = 3
/
ATOMIC_SPECIES
Dy 162.50 Dy.upf
Nb 92.91 Nb.upf
O 16.00 O.upf
ATOMIC_POSITIONS angstrom
Dy 6.481 3.889 3.889
Dy 6.481 6.481 6.481
Dy 3.889 6.481 3.889
Dy 3.889 3.889 6.481
Nb 3.889 1.296 3.889
Nb 3.889 3.889 1.296
Nb 1.296 3.889 3.889
Nb 1.296 1.296 1.296
O 7.777 7.777 7.777
O 8.079 5.185 5.185
O 5.185 5.185 8.079
O 5.185 2.291 5.185
O 5.185 5.185 2.291
O 5.185 8.079 5.185
O 0.302 2.592 2.592
O 2.291 5.185 5.185
O 2.592 2.592 0.302
O 2.592 2.592 4.883
O 2.592 4.883 2.592
O 2.592 0.302 2.592
O 4.883 2.592 2.592
O 5.185 5.185 5.185
CELL_PARAMETERS angstrom
0.000 5.185 5.185
5.185 0.000 5.185
5.185 5.185 0.000

---

! Dy2ScNbO7 (PBE, relaxed); values from VASP
! space group = Imma
&SYSTEM
  ibrav = 0, nat = 22, ntyp = 4
/
ATOMIC_SPECIES
Dy 162.50 Dy.upf
Sc 44.96 Sc.upf
Nb 92.91 Nb.upf
O 16.00 O.upf
ATOMIC_POSITIONS angstrom
Dy -3.627 -0.612 -0.219
Dy -1.900 -1.137 2.945
Dy -4.191 1.725 2.573
Dy -1.727 0.525 -3.165
Sc 0.564 -2.337 -2.792
Sc -2.290 2.862 -0.372
Nb 0.000 0.000 0.000
Nb -1.337 -3.474 0.153
O -3.475 -0.767 -2.425
O -3.779 -0.456 1.986
O -1.290 -1.481 0.458
O -6.116 0.506 3.421
O -4.080 1.811 0.046
O -3.534 -2.701 3.961
O -0.910 -3.485 -1.795
O -5.577 -2.080 0.217
O -5.964 0.258 -0.897
O -1.138 -1.729 -3.860
O -3.174 -3.035 -0.485
O -3.720 1.477 -4.400
O -6.344 2.261 1.356
O -1.677 0.856 -0.656
CELL_PARAMETERS angstrom
-3.801 -2.274 5.890
-4.581 5.725 -0.744
1.127 -4.674 -5.585

---

no.,size of the total moment (μB/f.u.),ΔE_f (kcal/mol of atoms)
1,0.049,-78.17
2,0.000,-85.40